(1)
This record from the Materials Project database describes a relaxed structure of Ba2EuWO6. The functional is GGA+U.

Structure (CIF):
```
data_Ba2EuWO6
_space_group_name_H-M_alt 'P n -3'
_space_group_IT_number 201
_cell_length_a 8.682
_cell_length_b 8.682
_cell_length_c 8.682
_cell_angle_alpha 90.00
_cell_angle_beta 90.00
_cell_angle_gamma 90.00
loop_
_space_group_symop_operation_xyz
'x,y,z'
'-x,-y,-z'
'-x+1/2,-y+1/2,z'
'x+1/2,y+1/2,-z'
'x,-y+1/2,-z+1/2'
'-x,y+1/2,z+1/2'
'-x+1/2,y,-z+1/2'
'x+1/2,-y,z+1/2'
'z,x,y'
'-z,-x,-y'
'z,-x+1/2,-y+1/2'
'-z,x+1/2,y+1/2'
'-z+1/2,x,-y+1/2'
'z+1/2,-x,y+1/2'
'-z+1/2,-x+1/2,y'
'z+1/2,x+1/2,-y'
'y,z,x'
'-y,-z,-x'
'-y+1/2,z,-x+1/2'
'y+1/2,-z,x+1/2'
'-y+1/2,-z+1/2,x'
'y+1/2,z+1/2,-x'
'y,-z+1/2,-x+1/2'
'-y,z+1/2,x+1/2'
loop_
_atom_site_label
_atom_site_type_symbol
_atom_site_fract_x
_atom_site_fract_y
_atom_site_fract_z
Ba1 Ba 0.250 0.250 0.250
Ba2 Ba 0.250 0.250 0.750
Eu1 Eu 0.000 0.000 0.000
W1 W 0.000 0.000 0.500
O1 O 0.023 0.529 0.775
```

Results
calculated formation energy: -2964 meV/atom
M_tot: 27.96 Bohr magnetons per cell
total DFT energy (no corrections): -7.783 eV per atom



(2)
This record from the Materials Project database describes a relaxed structure of VAsNO4F. The functional is GGA+U.

Structure (CIF):
```
data_VAsNO4F
_space_group_name_H-M_alt 'P n a 21'
_space_group_IT_number 33
_cell_length_a 13.361
_cell_length_b 6.597
_cell_length_c 10.889
_cell_angle_alpha 90.00
_cell_angle_beta 90.00
_cell_angle_gamma 90.00
loop_
_space_group_symop_operation_xyz
'x,y,z'
'-x,-y,z+1/2'
'-x+1/2,y+1/2,z+1/2'
'x+1/2,-y+1/2,z'
loop_
_atom_site_label
_atom_site_type_symbol
_atom_site_fract_x
_atom_site_fract_y
_atom_site_fract_z
V1 V 0.108 0.006 0.000
V2 V 0.248 0.255 0.750
As1 As 0.001 0.821 0.248
As2 As 0.184 0.504 0.002
N1 N 0.107 0.687 0.569
N2 N 0.110 0.282 0.324
O1 O 0.014 0.992 0.130
O2 O 0.017 0.026 0.877
O3 O 0.104 0.325 0.733
O4 O 0.108 0.682 0.269
O5 O 0.109 0.708 0.976
O6 O 0.113 0.296 0.037
O7 O 0.237 0.060 0.624
O8 O 0.241 0.949 0.376
F1 F 0.218 0.051 0.877
F2 F 0.218 0.957 0.122
```

Results
calculated formation energy: -1215 meV/atom
M_tot: 32.00 Bohr magnetons per cell
total DFT energy (no corrections): -6.074 eV per atom



(3)
This record from the Materials Project database describes a relaxed structure of Sr3La2FeCo4O15. The functional is GGA+U.

Structure (CIF):
```
data_Sr3La2FeCo4O15
_space_group_name_H-M_alt 'R 3 m'
_space_group_IT_number 160
_space_group_name_Hall 'R 3 -2"'
_cell_length_a 5.4850
_cell_length_b 5.4850
_cell_length_c 33.4233
_cell_angle_alpha 90.00
_cell_angle_beta 90.00
_cell_angle_gamma 120.00
loop_
_atom_site_label
_atom_site_type_symbol
_atom_site_fract_x
_atom_site_fract_y
_atom_site_fract_z
Sr1 Sr 0.0000 0.0000 0.0000
Sr2 Sr 0.0000 0.0000 0.1984
Sr3 Sr 0.0000 0.0000 0.7994
La1 La 0.0000 0.0000 0.4002
La2 La 0.0000 0.0000 0.5991
Fe1 Fe 0.0000 0.0000 0.8990
Co1 Co 0.0000 0.0000 0.1011
Co2 Co 0.0000 0.0000 0.2996
Co3 Co 0.0000 0.0000 0.4996
Co4 Co 0.0000 0.0000 0.6986
O1 O 0.0006 0.5003 0.3993
O2 O 0.0043 0.5022 0.9999
O3 O 0.0121 0.5060 0.2003
O4 O 0.1694 0.3388 0.9338
O5 O 0.1719 0.3438 0.1310
```

Results
calculated formation energy: -2236 meV/atom
M_tot: 41.20 Bohr magnetons per cell
total DFT energy (no corrections): -6.514 eV per atom



(4)
This record from the Materials Project database describes a relaxed structure of Na5Mn3F14. The functional is GGA+U.

Structure (CIF):
```
data_Na5Mn3F14
_space_group_name_H-M_alt 'P 21 21 21'
_space_group_IT_number 19
_cell_length_a 7.721
_cell_length_b 12.273
_cell_length_c 12.524
_cell_angle_alpha 90.00
_cell_angle_beta 90.00
_cell_angle_gamma 90.00
loop_
_space_group_symop_operation_xyz
'x,y,z'
'-x+1/2,-y,z+1/2'
'x+1/2,-y+1/2,-z'
'-x,y+1/2,-z+1/2'
loop_
_atom_site_label
_atom_site_type_symbol
_atom_site_fract_x
_atom_site_fract_y
_atom_site_fract_z
Na1 Na 0.025 0.221 0.265
Na2 Na 0.178 0.003 0.831
Na3 Na 0.213 0.496 0.177
Na4 Na 0.233 0.752 0.512
Na5 Na 0.240 0.246 0.517
Mn1 Mn 0.001 0.501 0.414
Mn2 Mn 0.002 0.752 0.750
Mn3 Mn 0.004 0.502 0.940
F1 F 0.001 0.343 0.407
F2 F 0.003 0.659 0.412
F3 F 0.052 0.612 0.045
F4 F 0.059 0.392 0.039
F5 F 0.062 0.010 0.234
F6 F 0.064 0.110 0.660
F7 F 0.068 0.893 0.664
F8 F 0.073 0.499 0.557
F9 F 0.140 0.192 0.857
F10 F 0.151 0.809 0.856
F11 F 0.200 0.314 0.689
F12 F 0.204 0.690 0.689
F13 F 0.241 0.501 0.862
F14 F 0.246 0.999 0.011
```

Results
calculated formation energy: -2913 meV/atom
M_tot: 48.00 Bohr magnetons per cell
excess energy over the best structure of this formula in the dataset: 0.5 meV/atom
total DFT energy (no corrections): -5.160 eV per atom



(5)
This record from the Materials Project database describes a relaxed structure of LiFeCo2O6. The functional is GGA+U.

Structure (CIF):
```
data_LiFeCo2O6
_space_group_name_H-M_alt 'C 1 2/m 1'
_space_group_IT_number 12
_cell_length_a 12.764
_cell_length_b 2.881
_cell_length_c 5.942
_cell_angle_alpha 90.00
_cell_angle_beta 105.31
_cell_angle_gamma 90.00
loop_
_space_group_symop_operation_xyz
'x,y,z'
'-x,-y,-z'
'-x,y,-z'
'x,-y,z'
'x+1/2,y+1/2,z'
'-x+1/2,-y+1/2,-z'
'-x+1/2,y+1/2,-z'
'x+1/2,-y+1/2,z'
loop_
_atom_site_label
_atom_site_type_symbol
_atom_site_fract_x
_atom_site_fract_y
_atom_site_fract_z
Li1 Li 0.000 0.000 0.000
Fe1 Fe 0.000 0.000 0.500
Co1 Co 0.171 0.500 0.829
O1 O 0.018 0.500 0.748
O2 O 0.163 0.000 0.622
O3 O 0.177 0.000 0.043
```

Results
calculated formation energy: -1418 meV/atom
M_tot: 14.00 Bohr magnetons per cell
total DFT energy (no corrections): -5.881 eV per atom



(6)
This record from the Materials Project database describes a relaxed structure of Li19V8B16O48. The functional is GGA+U.

Structure (CIF):
```
data_Li19V8B16O48
_space_group_name_H-M_alt 'P 1'
_space_group_IT_number 1
_cell_length_a 5.198
_cell_length_b 8.876
_cell_length_c 19.824
_cell_angle_alpha 89.61
_cell_angle_beta 88.08
_cell_angle_gamma 89.02
loop_
_space_group_symop_operation_xyz
'x,y,z'
loop_
_atom_site_label
_atom_site_type_symbol
_atom_site_fract_x
_atom_site_fract_y
_atom_site_fract_z
Li1 Li 0.000 0.000 0.000
Li2 Li 0.001 0.000 0.203
Li3 Li 0.024 0.671 0.731
Li4 Li 0.028 0.683 0.233
Li5 Li 0.070 0.005 0.481
Li6 Li 0.146 0.506 0.354
Li7 Li 0.183 0.178 0.598
Li8 Li 0.189 0.501 0.831
Li9 Li 0.194 0.174 0.100
Li10 Li 0.210 0.494 0.626
Li11 Li 0.212 0.494 0.127
Li12 Li 0.483 0.570 0.453
Li13 Li 0.523 0.860 0.980
Li14 Li 0.530 0.540 0.255
Li15 Li 0.668 0.390 0.850
Li16 Li 0.678 0.042 0.578
Li17 Li 0.713 0.050 0.875
Li18 Li 0.723 0.065 0.380
Li19 Li 0.990 0.985 0.704
V1 V 0.003 0.357 0.978
V2 V 0.226 0.827 0.850
V3 V 0.227 0.826 0.356
V4 V 0.490 0.216 0.730
V5 V 0.506 0.205 0.229
V6 V 0.706 0.704 0.602
V7 V 0.711 0.705 0.105
V8 V 0.980 0.326 0.475
B1 B 0.005 0.674 0.476
B2 B 0.019 0.331 0.728
B3 B 0.026 0.345 0.229
B4 B 0.029 0.693 0.979
B5 B 0.183 0.845 0.601
B6 B 0.187 0.183 0.856
B7 B 0.188 0.842 0.105
B8 B 0.201 0.175 0.355
B9 B 0.503 0.869 0.225
B10 B 0.511 0.870 0.722
B11 B 0.523 0.194 0.980
B12 B 0.531 0.227 0.485
B13 B 0.681 0.726 0.346
B14 B 0.683 0.704 0.850
B15 B 0.693 0.369 0.105
B16 B 0.703 0.369 0.607
O1 O 0.023 0.968 0.600
O2 O 0.042 0.310 0.879
O3 O 0.042 0.969 0.102
O4 O 0.072 0.302 0.376
O5 O 0.075 0.703 0.123
O6 O 0.079 0.702 0.614
O7 O 0.089 0.041 0.860
O8 O 0.099 0.036 0.369
O9 O 0.108 0.534 0.462
O10 O 0.122 0.543 0.972
O11 O 0.125 0.188 0.713
O12 O 0.135 0.800 0.455
O13 O 0.136 0.203 0.214
O14 O 0.168 0.811 0.955
O15 O 0.182 0.448 0.730
O16 O 0.184 0.467 0.230
O17 O 0.254 0.857 0.247
O18 O 0.255 0.201 0.995
O19 O 0.265 0.844 0.745
O20 O 0.281 0.185 0.499
O21 O 0.436 0.209 0.829
O22 O 0.445 0.189 0.322
O23 O 0.447 0.842 0.088
O24 O 0.448 0.860 0.594
O25 O 0.477 0.625 0.349
O26 O 0.499 0.599 0.846
O27 O 0.533 0.259 0.129
O28 O 0.547 0.250 0.629
O29 O 0.585 0.517 0.108
O30 O 0.587 0.514 0.615
O31 O 0.596 0.851 0.866
O32 O 0.600 0.874 0.355
O33 O 0.602 0.022 0.722
O34 O 0.605 0.375 0.478
O35 O 0.622 0.011 0.218
O36 O 0.649 0.332 0.971
O37 O 0.655 0.064 0.974
O38 O 0.657 0.745 0.204
O39 O 0.695 0.768 0.700
O40 O 0.738 0.125 0.483
O41 O 0.758 0.347 0.746
O42 O 0.760 0.359 0.237
O43 O 0.761 0.689 0.508
O44 O 0.793 0.717 0.011
O45 O 0.933 0.685 0.333
O46 O 0.944 0.352 0.080
O47 O 0.946 0.678 0.837
O48 O 0.953 0.354 0.586
```

Results
calculated formation energy: -2608 meV/atom
M_tot: 11.00 Bohr magnetons per cell
total DFT energy (no corrections): -7.078 eV per atom



(7)
This record from the Materials Project database describes a relaxed structure of MnO4F2. The functional is GGA+U.

Structure (CIF):
```
data_MnO4F2
_space_group_name_H-M_alt 'P c a 21'
_space_group_IT_number 29
_cell_length_a 12.190
_cell_length_b 5.480
_cell_length_c 6.900
_cell_angle_alpha 90.00
_cell_angle_beta 90.00
_cell_angle_gamma 90.00
loop_
_space_group_symop_operation_xyz
'x,y,z'
'-x,-y,z+1/2'
'-x+1/2,y,z+1/2'
'x+1/2,-y,z'
loop_
_atom_site_label
_atom_site_type_symbol
_atom_site_fract_x
_atom_site_fract_y
_atom_site_fract_z
Mn1 Mn 0.149 0.244 0.000
O1 O 0.061 0.908 0.455
O2 O 0.097 0.916 0.289
O3 O 0.165 0.429 0.737
O4 O 0.190 0.307 0.584
F1 F 0.080 0.455 0.166
F2 F 0.176 0.949 0.882
```

Results
calculated formation energy: -1093 meV/atom
M_tot: 4.00 Bohr magnetons per cell
total DFT energy (no corrections): -5.314 eV per atom



(8)
This record from the Materials Project database describes a relaxed structure of Mn3Fe2Sb3O16. The functional is GGA+U.

Structure (CIF):
```
data_Mn3Fe2Sb3O16
_space_group_name_H-M_alt 'C 1 m 1'
_space_group_IT_number 8
_cell_length_a 10.586
_cell_length_b 6.029
_cell_length_c 9.138
_cell_angle_alpha 90.00
_cell_angle_beta 90.61
_cell_angle_gamma 90.00
loop_
_space_group_symop_operation_xyz
'x,y,z'
'x,-y,z'
'x+1/2,y+1/2,z'
'x+1/2,-y+1/2,z'
loop_
_atom_site_label
_atom_site_type_symbol
_atom_site_fract_x
_atom_site_fract_y
_atom_site_fract_z
Mn1 Mn 0.000 0.000 0.000
Mn2 Mn 0.416 0.248 0.496
Fe1 Fe 0.156 0.000 0.285
Fe2 Fe 0.486 0.000 0.777
Sb1 Sb 0.165 0.500 0.498
Sb2 Sb 0.248 0.247 0.998
O1 O 0.066 0.281 0.621
O2 O 0.093 0.216 0.121
O3 O 0.165 0.500 0.881
O4 O 0.177 0.000 0.874
O5 O 0.248 0.251 0.390
O6 O 0.311 0.000 0.130
O7 O 0.320 0.500 0.112
O8 O 0.337 0.500 0.600
O9 O 0.355 0.000 0.613
O10 O 0.412 0.253 0.890
O11 O 0.493 0.000 0.387
O12 O 0.494 0.500 0.391
```

Results
calculated formation energy: -1750 meV/atom
M_tot: 40.00 Bohr magnetons per cell
total DFT energy (no corrections): -6.561 eV per atom